A geometry-optimized La4CdRu structure, computed with GGA-PBE.

* uncorrected energy: -5.292 eV per atom

abc: 14.263 14.263 14.263
angles: 90.00 90.00 90.00
Space group F-43m (No. 216)
One atom of each set of equivalent atoms:
La  0.000  0.000  0.189 [24 per cell]
La  0.059  0.250  0.750 [24 per cell]
La  0.154  0.154  0.346 [16 per cell]
Cd  0.079  0.079  0.579 [16 per cell]
Ru  0.137  0.137  0.137 [16 per cell]

---

A geometry-optimized TcN structure, computed with GGA-PBE.

* uncorrected energy: -8.576 eV per atom

abc: 2.681 2.681 2.681
angles: 90.00 90.00 90.00
Space group Pm-3m (No. 221)
One atom of each set of equivalent atoms:
Tc  0.000  0.000  0.000 [1 per cell]
N  0.500  0.500  0.500 [1 per cell]

---

A geometry-optimized Rb2PdC2 structure, computed with GGA-PBE.

* uncorrected energy: -5.082 eV per atom

abc: 5.4632 5.4632 5.3098
angles: 90.00 90.00 120.00
Space group P-3m1 (No. 164)
One atom of each set of equivalent atoms:
Rb  0.3333  0.6667  0.2778 [2 per cell]
Pd  0.0000  0.0000  0.0000 [1 per cell]
C  0.0000  0.0000  0.3802 [2 per cell]

---

A geometry-optimized Bi2TeO2 structure, computed with GGA-PBE.

* uncorrected energy: -5.071 eV per atom

abc: 5.690 12.903 5.691
angles: 90.00 90.00 90.00
Space group Fmm2 (No. 42)
One atom of each set of equivalent atoms:
Bi  0.000  0.154  0.000 [8 per cell]
Te  0.000  0.000  0.507 [4 per cell]
O  0.250  0.250  0.251 [8 per cell]